*i*
NaS: optimized geometry, PBE.

a = 4.0588 Å, b = 4.0588 Å, c = 4.0588 Å
α = 60.00°, β = 60.00°, γ = 60.00°
Atoms (fractional coordinates):
Na 0.0000 0.0000 0.0000
S 0.5000 0.5000 0.5000

Summary:
magnetic moment	1.00	Bohr magnetons per cell

=====

*ii*
NaS: optimized geometry, PBE.

a = 3.4005 Å, b = 3.4005 Å, c = 3.4005 Å
α = 90.00°, β = 90.00°, γ = 90.00°
Atoms (fractional coordinates):
Na 0.0000 0.0000 0.0000
S 0.5000 0.5000 0.5000

Summary:
magnetic moment	0.01	Bohr magnetons per cell

=====

*iii*
NaS: optimized geometry, PBE.

a = 4.5143 Å, b = 4.5143 Å, c = 10.2841 Å
α = 90.00°, β = 90.00°, γ = 120.00°
Atoms (fractional coordinates):
Na 0.0000 0.0000 0.0000
Na 0.0000 0.0000 0.5000
Na 0.3333 0.6667 0.2500
Na 0.6667 0.3333 0.7500
S 0.3333 0.6667 0.6446
S 0.3333 0.6667 0.8554
S 0.6667 0.3333 0.1446
S 0.6667 0.3333 0.3554

=====

*iii* is the most stable structure; the next one sits 0.375 eV/atom above it.

=====

*i*
NaV2Se4: optimized geometry, PBE.

a = 14.5796 Å, b = 14.5796 Å, c = 14.5796 Å
α = 14.28°, β = 14.28°, γ = 14.28°
Atoms (fractional coordinates):
Na 0.0000 0.0000 0.0000
V 0.4181 0.4181 0.4181
V 0.9154 0.9154 0.9154
Se 0.1171 0.1171 0.1171
Se 0.2165 0.2165 0.2165
Se 0.6174 0.6174 0.6174
Se 0.7162 0.7162 0.7162

Summary:
magnetic moment	3.00	Bohr magnetons per cell

=====

*ii*
NaV2Se4: optimized geometry, PBE.

a = 6.1712 Å, b = 3.5519 Å, c = 7.8315 Å
α = 90.00°, β = 110.12°, γ = 90.00°
Atoms (fractional coordinates):
Na 0.0000 0.0000 0.0000
V 0.3095 0.5000 0.5118
V 0.8698 0.0000 0.5047
Se 0.2650 0.0000 0.7284
Se 0.4291 0.0000 0.3270
Se 0.7484 0.5000 0.6901
Se 0.9112 0.5000 0.2878

=====

*ii* is the most stable structure; the next one sits 0.074 eV/atom above it.

=====

*i*
Na2Zn2Se3: optimized geometry, PBE.

a = 7.7787 Å, b = 7.7787 Å, c = 11.8731 Å
α = 90.00°, β = 90.00°, γ = 90.00°
Atoms (fractional coordinates):
Na 0.0311 0.2500 0.3461
Na 0.2500 0.0311 0.6539
Na 0.2500 0.5311 0.0961
Na 0.4689 0.7500 0.4039
Na 0.5311 0.2500 0.9039
Na 0.7500 0.4689 0.5961
Na 0.7500 0.9689 0.1539
Na 0.9689 0.7500 0.8461
Zn 0.0475 0.2209 0.8823
Zn 0.2209 0.0475 0.1177
Zn 0.2791 0.5475 0.6323
Zn 0.4525 0.7209 0.8677
Zn 0.5475 0.2791 0.3677
Zn 0.7209 0.4525 0.1323
Zn 0.7791 0.9525 0.6177
Zn 0.9525 0.7791 0.3823
Se 0.0263 0.7393 0.5841
Se 0.1869 0.8131 0.2500
Se 0.2393 0.4737 0.8341
Se 0.2607 0.9737 0.9159
Se 0.3131 0.3131 0.5000
Se 0.4737 0.2393 0.1659
Se 0.5263 0.7607 0.6659
Se 0.6869 0.6869 0.0000
Se 0.7393 0.0263 0.4159
Se 0.7607 0.5263 0.3341
Se 0.8131 0.1869 0.7500
Se 0.9737 0.2607 0.0841

Summary:
magnetic moment	0.00	Bohr magnetons per cell

=====

*ii*
Na2Zn2Se3: optimized geometry, PBE.

a = 10.3977 Å, b = 10.3977 Å, c = 7.1160 Å
α = 109.90°, β = 109.90°, γ = 82.83°
Atoms (fractional coordinates):
Na 0.0695 0.9305 0.7500
Na 0.2218 0.7782 0.2500
Na 0.3096 0.4794 0.3631
Na 0.4794 0.3096 0.8631
Na 0.5206 0.6904 0.1369
Na 0.6904 0.5206 0.6369
Na 0.7782 0.2218 0.7500
Na 0.9305 0.0695 0.2500
Zn 0.0483 0.5798 0.7376
Zn 0.1359 0.2896 0.7968
Zn 0.2896 0.1359 0.2968
Zn 0.4202 0.9517 0.7624
Zn 0.5798 0.0483 0.2376
Zn 0.7104 0.8641 0.7032
Zn 0.8641 0.7104 0.2032
Zn 0.9517 0.4202 0.2624
Se 0.0748 0.2240 0.0678
Se 0.0817 0.6463 0.4492
Se 0.2240 0.0748 0.5678
Se 0.2688 0.5032 0.9450
Se 0.3537 0.9183 0.0508
Se 0.4968 0.7312 0.5550
Se 0.5032 0.2688 0.4450
Se 0.6463 0.0817 0.9492
Se 0.7312 0.4968 0.0550
Se 0.7760 0.9252 0.4322
Se 0.9183 0.3537 0.5508
Se 0.9252 0.7760 0.9322

=====

*ii* is the most stable structure; the next one sits 0.046 eV/atom above it.

=====

*i*
Na3Tc: optimized geometry, PBE.

a = 5.3487 Å, b = 5.3487 Å, c = 5.3487 Å
α = 60.00°, β = 60.00°, γ = 60.00°
Atoms (fractional coordinates):
Na 0.0000 0.0000 0.0000
Na 0.2500 0.2500 0.2500
Na 0.7500 0.7500 0.7500
Tc 0.5000 0.5000 0.5000

Summary:
magnetic moment	3.37	Bohr magnetons per cell

=====

*ii*
Na3Tc: optimized geometry, PBE.

a = 6.6820 Å, b = 6.6820 Å, c = 5.4833 Å
α = 90.00°, β = 90.00°, γ = 120.00°
Atoms (fractional coordinates):
Na 0.1756 0.3513 0.2500
Na 0.1756 0.8244 0.2500
Na 0.3513 0.1756 0.7500
Na 0.6487 0.8244 0.2500
Na 0.8244 0.1756 0.7500
Na 0.8244 0.6487 0.7500
Tc 0.3333 0.6667 0.7500
Tc 0.6667 0.3333 0.2500

Summary:
magnetic moment	6.10	Bohr magnetons per cell

=====

*ii* is the most stable structure; the next one sits 0.008 eV/atom above it.

=====

*i*
Na3Ti: optimized geometry, PBE.

a = 7.0197 Å, b = 7.0197 Å, c = 5.7711 Å
α = 90.00°, β = 90.00°, γ = 120.00°
Atoms (fractional coordinates):
Na 0.1687 0.3375 0.2500
Na 0.1687 0.8313 0.2500
Na 0.3375 0.1687 0.7500
Na 0.6625 0.8313 0.2500
Na 0.8313 0.1687 0.7500
Na 0.8313 0.6625 0.7500
Ti 0.3333 0.6667 0.7500
Ti 0.6667 0.3333 0.2500

Summary:
magnetic moment	6.22	Bohr magnetons per cell

=====

*ii*
Na3Ti: optimized geometry, PBE.

a = 4.9045 Å, b = 4.9045 Å, c = 4.9045 Å
α = 90.00°, β = 90.00°, γ = 90.00°
Atoms (fractional coordinates):
Na 0.0000 0.0000 0.5000
Na 0.0000 0.5000 0.0000
Na 0.5000 0.0000 0.0000
Ti 0.5000 0.5000 0.5000

Summary:
magnetic moment	0.22	Bohr magnetons per cell

=====

*i* is the most stable structure; the next one sits 0.101 eV/atom above it.

=====

*i*
Nd3NbO7: optimized geometry, PBE.

a = 6.6818 Å, b = 6.6818 Å, c = 7.7461 Å
α = 90.00°, β = 90.00°, γ = 68.95°
Atoms (fractional coordinates):
Nd 0.0000 0.0000 0.0000
Nd 0.0000 0.0000 0.5000
Nd 0.0688 0.4789 0.7500
Nd 0.4789 0.0688 0.2500
Nd 0.5211 0.9312 0.7500
Nd 0.9312 0.5211 0.2500
Nb 0.5000 0.5000 0.0000
Nb 0.5000 0.5000 0.5000
O 0.1088 0.1538 0.2500
O 0.1538 0.1088 0.7500
O 0.1843 0.5617 0.0348
O 0.1843 0.5617 0.4652
O 0.4287 0.5713 0.7500
O 0.4383 0.8157 0.0348
O 0.4383 0.8157 0.4652
O 0.5617 0.1843 0.5348
O 0.5617 0.1843 0.9652
O 0.5713 0.4287 0.2500
O 0.8157 0.4383 0.5348
O 0.8157 0.4383 0.9652
O 0.8462 0.8912 0.2500
O 0.8912 0.8462 0.7500

=====

*ii*
Nd3NbO7: optimized geometry, PBE.

a = 7.6835 Å, b = 10.9887 Å, c = 7.7741 Å
α = 90.00°, β = 90.00°, γ = 90.00°
Atoms (fractional coordinates):
Nd 0.0131 0.2500 0.2046
Nd 0.2494 0.5237 0.0422
Nd 0.2494 0.9763 0.0422
Nd 0.2506 0.0237 0.5422
Nd 0.2506 0.4763 0.5422
Nd 0.4869 0.7500 0.7046
Nd 0.5131 0.2500 0.2954
Nd 0.7494 0.5237 0.4578
Nd 0.7494 0.9763 0.4578
Nd 0.7506 0.0237 0.9578
Nd 0.7506 0.4763 0.9578
Nd 0.9869 0.7500 0.7954
Nb 0.0049 0.2500 0.7463
Nb 0.4951 0.7500 0.2463
Nb 0.5049 0.2500 0.7537
Nb 0.9951 0.7500 0.2537
O 0.0355 0.1268 0.9500
O 0.0355 0.3732 0.9500
O 0.0424 0.6135 0.4065
O 0.0424 0.8865 0.4065
O 0.2439 0.6171 0.7706
O 0.2439 0.8829 0.7706
O 0.2473 0.2500 0.6710
O 0.2527 0.7500 0.1710
O 0.2561 0.1171 0.2706
O 0.2561 0.3829 0.2706
O 0.4576 0.1135 0.9065
O 0.4576 0.3865 0.9065
O 0.4645 0.6268 0.4500
O 0.4645 0.8732 0.4500
O 0.5355 0.1268 0.5500
O 0.5355 0.3732 0.5500
O 0.5424 0.6135 0.0935
O 0.5424 0.8865 0.0935
O 0.7439 0.6171 0.7294
O 0.7439 0.8829 0.7294
O 0.7473 0.2500 0.8290
O 0.7527 0.7500 0.3290
O 0.7561 0.1171 0.2294
O 0.7561 0.3829 0.2294
O 0.9576 0.1135 0.5935
O 0.9576 0.3865 0.5935
O 0.9645 0.6268 0.0500
O 0.9645 0.8732 0.0500

=====

*ii* is the most stable structure; the next one sits 0.013 eV/atom above it.

=====

*i*
Ti2NbNi9: optimized geometry, PBE.

a = 5.1183 Å, b = 5.1183 Å, c = 25.2932 Å
α = 90.00°, β = 90.00°, γ = 120.00°
Atoms (fractional coordinates):
Ti 0.0000 0.0000 0.0838
Ti 0.0000 0.0000 0.2494
Ti 0.0000 0.0000 0.4164
Ti 0.0000 0.0000 0.5836
Ti 0.0000 0.0000 0.7506
Ti 0.0000 0.0000 0.9162
Ti 0.3333 0.6667 0.1664
Ti 0.3333 0.6667 0.8336
Nb 0.3333 0.6667 0.5000
Nb 0.6667 0.3333 0.0000
Nb 0.6667 0.3333 0.3318
Nb 0.6667 0.3333 0.6682
Ni 0.9996 0.4998 0.4166
Ni 0.9996 0.4998 0.5834
Ni 0.0015 0.5007 0.0841
Ni 0.0015 0.5007 0.9159
Ni 0.0019 0.5009 0.2492
Ni 0.0019 0.5009 0.7508
Ni 0.1711 0.3421 0.0000
Ni 0.1708 0.3417 0.3333
Ni 0.1708 0.3417 0.6667
Ni 0.1711 0.8289 0.0000
Ni 0.1708 0.8292 0.3333
Ni 0.1708 0.8292 0.6667
Ni 0.3413 0.1706 0.5000
Ni 0.3422 0.1711 0.1666
Ni 0.3422 0.1711 0.8334
Ni 0.4993 0.5007 0.0841
Ni 0.4991 0.5009 0.2492
Ni 0.4991 0.5009 0.7508
Ni 0.4993 0.5007 0.9159
Ni 0.4991 0.9981 0.2492
Ni 0.4991 0.9981 0.7508
Ni 0.4993 0.9985 0.0841
Ni 0.4993 0.9985 0.9159
Ni 0.5002 0.0004 0.4166
Ni 0.5002 0.0004 0.5834
Ni 0.5002 0.4998 0.4166
Ni 0.5002 0.4998 0.5834
Ni 0.6579 0.8289 0.0000
Ni 0.6583 0.8292 0.3333
Ni 0.6583 0.8292 0.6667
Ni 0.8289 0.1711 0.1666
Ni 0.8294 0.1706 0.5000
Ni 0.8289 0.1711 0.8334
Ni 0.8289 0.6578 0.1666
Ni 0.8289 0.6578 0.8334
Ni 0.8294 0.6587 0.5000

Summary:
magnetic moment	0.04	Bohr magnetons per cell

=====

*ii*
Ti2NbNi9: optimized geometry, PBE.

a = 8.4413 Å, b = 13.5620 Å, c = 13.5620 Å
α = 21.78°, β = 90.00°, γ = 90.00°
Atoms (fractional coordinates):
Ti 0.0000 0.0000 0.0000
Ti 0.0000 0.3355 0.3355
Ti 0.2494 0.7782 0.7782
Ti 0.2501 0.1111 0.1111
Ti 0.2495 0.4448 0.4448
Ti 0.7499 0.1111 0.1111
Ti 0.7505 0.4448 0.4448
Ti 0.7506 0.7782 0.7782
Nb 0.0000 0.6677 0.6677
Nb 0.5000 0.2224 0.2224
Nb 0.5000 0.5539 0.5539
Nb 0.5000 0.8882 0.8882
Ni 0.0000 0.0089 0.4930
Ni 0.0000 0.1601 0.6739
Ni 0.0000 0.1686 0.1686
Ni 0.0000 0.3384 0.8276
Ni 0.0000 0.4930 0.0089
Ni 0.0000 0.5017 0.5017
Ni 0.0000 0.6739 0.1601
Ni 0.0000 0.8276 0.3384
Ni 0.0000 0.8352 0.8352
Ni 0.2474 0.2752 0.7804
Ni 0.2471 0.2785 0.2785
Ni 0.2474 0.7804 0.2752
Ni 0.2475 0.9445 0.9445
Ni 0.2475 0.1129 0.6100
Ni 0.2475 0.6100 0.1129
Ni 0.2498 0.4446 0.9446
Ni 0.2497 0.6108 0.6108
Ni 0.2498 0.9446 0.4446
Ni 0.5000 0.0543 0.0543
Ni 0.5000 0.0617 0.5505
Ni 0.5000 0.2154 0.7286
Ni 0.5000 0.3880 0.3880
Ni 0.5000 0.3943 0.8834
Ni 0.5000 0.5505 0.0617
Ni 0.5000 0.7211 0.7211
Ni 0.5000 0.7286 0.2154
Ni 0.5000 0.8834 0.3943
Ni 0.7502 0.4446 0.9446
Ni 0.7503 0.6108 0.6108
Ni 0.7502 0.9446 0.4446
Ni 0.7525 0.1129 0.6100
Ni 0.7525 0.6100 0.1129
Ni 0.7526 0.2752 0.7804
Ni 0.7529 0.2785 0.2785
Ni 0.7526 0.7804 0.2752
Ni 0.7525 0.9445 0.9445

Summary:
magnetic moment	0.00	Bohr magnetons per cell

=====

*i* is the most stable structure; the next one sits 0.010 eV/atom above it.